Entry 1:
Crystalline Li2FeP4O12 at its relaxed geometry. Source: Materials Project, functional GGA+U.

## Properties
- Raw total energy: -6.927 eV/atom

Geometry as POSCAR:
```
Li2FeP4O12
1.0
7.158 4.618 0.000
-7.158 4.618 0.000
0.000 1.027 7.407
O Fe P Li
24 2 8 4
Cartesian
3.741 6.317 2.366
0.458 8.729 4.836
3.741 3.433 1.338
-0.458 1.534 2.572
-1.847 2.538 7.363
-1.326 3.086 4.897
-5.493 4.875 1.852
-2.104 5.074 0.545
1.847 2.024 3.659
-1.326 7.692 6.214
5.493 5.389 5.555
-3.741 6.831 6.070
1.326 2.572 1.194
1.694 4.875 1.852
1.847 7.726 0.044
2.104 5.588 4.249
2.104 5.190 6.862
-1.847 8.240 3.748
-0.458 8.216 1.132
-1.694 5.389 5.555
0.458 2.048 6.275
-3.741 3.947 5.041
-2.104 4.676 3.158
1.326 7.178 2.510
-5.227 5.389 5.555
5.227 4.875 1.852
1.039 1.614 2.457
-1.039 8.650 4.950
-2.333 6.501 6.525
1.039 8.136 1.247
2.333 5.988 2.821
2.333 3.762 0.882
-2.333 4.276 4.586
-1.039 2.127 6.161
-2.150 3.317 1.557
2.150 6.947 5.851
-2.150 6.434 2.147
2.150 3.830 5.260
```



Entry 2:
Crystalline Li3Co2O5 at its relaxed geometry. Source: Materials Project, functional GGA+U.

## Properties
- Raw total energy: -5.466 eV/atom

Geometry as POSCAR:
```
Li3Co2O5
1.0
-2.993 0.000 0.000
1.354 4.939 0.000
-0.128 -2.283 -12.078
Li O Co
6 10 4
Cartesian
0.613 1.328 -6.039
0.505 2.350 -10.881
-0.817 0.821 -3.618
-0.950 1.835 -8.460
-2.272 0.306 -1.196
-0.819 2.469 0.000
-1.032 0.892 -10.220
0.590 2.285 -4.121
-0.940 2.766 -6.586
-2.386 -1.161 -11.300
-0.734 1.764 -1.858
-0.827 -0.110 -5.491
0.619 3.817 -0.778
-1.031 4.261 -3.059
-0.736 -1.605 -9.019
-2.357 0.371 -7.957
-0.929 3.528 -4.813
0.624 2.990 -2.315
-0.838 -0.872 -7.265
-2.391 -0.334 -9.762
```



Entry 3:
Crystalline Sr2MgCuWO6 at its relaxed geometry. Source: Materials Project, functional GGA+U.

## Properties
- Raw total energy: -6.427 eV/atom

Geometry as POSCAR:
```
Sr2MgCuWO6
1.0
-7.046 -0.379 -0.101
0.406 7.091 0.006
3.259 -3.297 -3.507
O Sr W Cu Mg
6 2 1 1 1
Cartesian
0.455 5.111 -0.552
-0.540 0.567 -1.897
-5.137 -0.380 -0.591
-3.837 -1.696 -3.050
-2.841 2.848 -1.705
1.755 3.795 -3.010
-0.323 3.081 -1.752
-3.059 0.334 -1.850
0.000 0.000 0.000
-3.320 3.356 -0.047
1.629 -1.649 -1.753
```



Entry 4:
Crystalline KSrNdWO6 at its relaxed geometry. Source: Materials Project, functional GGA+U.

## Properties
- Raw total energy: -7.023 eV/atom

Geometry as POSCAR:
```
KSrNdWO6
1.0
0.000 -4.280 -4.280
4.280 0.000 -4.280
4.280 -4.280 0.000
Sr W O K Nd
1 1 6 1 1
Cartesian
6.421 -6.421 -6.421
4.280 -4.280 -4.280
4.280 -2.326 -4.280
2.326 -4.280 -4.280
4.280 -4.280 -2.326
6.234 -4.280 -4.280
4.280 -4.280 -6.234
4.280 -6.234 -4.280
2.140 -2.140 -2.140
0.000 0.000 0.000
```



Number 1: energy relative to the lowest polymorph listed for this composition 0.016 eV/atom, magnetization 4.00 μB per formula unit. Number 2: energy relative to the lowest polymorph listed for this composition 0.073 eV/atom, magnetization 7.00 μB per formula unit. Number 3: energy relative to the lowest polymorph listed for this composition 0.000 eV/atom, magnetization 1.00 μB per formula unit. Number 4: energy relative to the lowest polymorph listed for this composition 0.016 eV/atom, magnetization 0.00 μB per formula unit.